{"formula": "Al2ZnS4", "functional": "PBE", "state": "relaxed", "ef_ev_per_atom": -1.288, "magnetic_moment_mub_per_fu": 0.00, "e_tot_ev_per_atom": -4.614, "lattice_angstrom": [[-2.1455, -1.7697, -5.4962], [2.9299, -6.7183, 1.0195], [-22.4204, -8.0559, 11.3460]], "species": ["S", "S", "S", "S", "S", "S", "S", "S", "S", "S", "S", "S", "S", "S", "S", "S", "S", "S", "S", "S", "S", "S", "S", "S", "S", "S", "S", "S", "S", "S", "S", "S", "Al", "Al", "Al", "Al", "Al", "Al", "Al", "Al", "Al", "Al", "Al", "Al", "Al", "Al", "Al", "Al", "Zn", "Zn", "Zn", "Zn", "Zn", "Zn", "Zn", "Zn"], "frac_coords": [[0.5054, 0.2584, 0.7095], [0.5056, 0.7420, 0.4594], [0.4984, 0.5000, 0.0822], [0.0055, 0.7399, 0.0407], [0.9984, 0.0000, 0.1678], [0.0055, 0.2601, 0.0407], [0.0054, 0.7603, 0.2906], [0.9970, 0.5000, 0.4171], [0.5056, 0.2580, 0.4594], [0.4887, 0.5000, 0.3336], [0.5055, 0.2399, 0.2093], [0.0054, 0.7584, 0.5405], [0.4970, 0.0000, 0.8329], [0.9891, 0.5000, 0.1662], [0.0054, 0.2416, 0.5405], [0.4971, 0.0000, 0.5827], [0.4891, 0.0000, 0.0838], [0.4983, 0.0000, 0.3319], [0.0056, 0.2420, 0.7906], [0.4909, 0.5000, 0.8327], [0.5054, 0.2603, 0.9594], [0.9971, 0.5000, 0.6673], [0.4905, 0.5000, 0.5824], [0.0056, 0.7580, 0.7906], [0.5055, 0.7601, 0.2093], [0.5054, 0.7397, 0.9594], [0.9905, 0.0000, 0.6676], [0.9909, 0.0000, 0.4173], [0.9983, 0.5000, 0.9181], [0.5054, 0.7416, 0.7095], [0.9887, 0.0000, 0.9164], [0.0054, 0.2397, 0.2906], [0.8762, 0.2513, 0.2101], [0.3760, 0.2514, 0.2897], [0.8762, 0.7493, 0.4601], [0.3762, 0.7513, 0.0399], [0.3759, 0.2491, 0.5397], [0.3762, 0.7507, 0.7899], [0.3762, 0.2487, 0.0399], [0.3759, 0.7509, 0.5397], [0.3760, 0.7486, 0.2897], [0.8760, 0.2486, 0.9603], [0.3762, 0.2493, 0.7899], [0.8762, 0.2507, 0.4601], [0.8762, 0.7487, 0.2101], [0.8759, 0.7491, 0.7103], [0.8760, 0.7514, 0.9603], [0.8759, 0.2509, 0.7103], [0.8741, 0.0000, 0.0820], [0.3746, 0.0000, 0.6679], [0.3753, 0.0000, 0.4175], [0.8753, 0.5000, 0.8325], [0.3741, 0.5000, 0.1680], [0.3735, 0.0000, 0.9183], [0.8746, 0.5000, 0.5821], [0.8735, 0.5000, 0.3317]]}